DFT (PBE-GGA) results for Mg2SiS4 after structural relaxation.

Computed properties:
Formation energy from the elements in eV/atom: -1.417

Cell lengths 12.8059, 7.4777, 5.9591 Å; angles 90.00, 90.00, 90.00 degrees
Sites, in units of the cell vectors:
Mg: 0.0000 0.0000 0.0000
Mg: 0.0000 0.5000 0.0000
Mg: 0.2312 0.2500 0.4920
Mg: 0.2688 0.7500 0.9920
Mg: 0.5000 0.0000 0.5000
Mg: 0.5000 0.5000 0.5000
Mg: 0.7312 0.2500 0.0080
Mg: 0.7688 0.7500 0.5080
Si: 0.0889 0.7500 0.4068
Si: 0.4111 0.2500 0.9068
Si: 0.5889 0.7500 0.0932
Si: 0.9111 0.2500 0.5932
S: 0.0653 0.2500 0.7385
S: 0.0925 0.7500 0.7624
S: 0.1656 0.5244 0.2532
S: 0.1656 0.9756 0.2532
S: 0.3344 0.0244 0.7532
S: 0.3344 0.4756 0.7532
S: 0.4075 0.2500 0.2624
S: 0.4347 0.7500 0.2385
S: 0.5653 0.2500 0.7615
S: 0.5925 0.7500 0.7376
S: 0.6656 0.5244 0.2468
S: 0.6656 0.9756 0.2468
S: 0.8344 0.0244 0.7468
S: 0.8344 0.4756 0.7468
S: 0.9075 0.2500 0.2376
S: 0.9347 0.7500 0.2615